1.
A plane-wave DFT calculation with GGA+U was carried out for a relaxed structure of Li6Fe9CoO20.

Calculated values
V: 375.65 Å³/cell
Formation energy from the elements: -1.69 eV/atom
Crystal system: monoclinic

```
data_Li6Fe9CoO20
_space_group_name_H-M_alt 'P 1'
_space_group_IT_number 1
_cell_length_a 6.042
_cell_length_b 2.966
_cell_length_c 21.132
_cell_angle_alpha 90.00
_cell_angle_beta 97.23
_cell_angle_gamma 90.00
loop_
_space_group_symop_operation_xyz
'x,y,z'
loop_
_atom_site_label
_atom_site_type_symbol
_atom_site_fract_x
_atom_site_fract_y
_atom_site_fract_z
Li1 Li 0.000 0.000 0.000
Li2 Li 0.003 0.500 0.500
Li3 Li 0.393 0.000 0.806
Li4 Li 0.397 0.500 0.307
Li5 Li 0.774 0.500 0.114
Li6 Li 0.782 0.000 0.614
Fe1 Fe 0.096 0.000 0.206
Fe2 Fe 0.306 0.000 0.611
Fe3 Fe 0.307 0.500 0.109
Fe4 Fe 0.475 0.000 0.001
Fe5 Fe 0.478 0.500 0.504
Fe6 Fe 0.695 0.000 0.407
Fe7 Fe 0.695 0.500 0.906
Fe8 Fe 0.893 0.500 0.306
Fe9 Fe 0.897 0.000 0.807
Co1 Co 0.094 0.500 0.707
O1 O 0.066 0.000 0.113
O2 O 0.069 0.500 0.618
O3 O 0.121 0.500 0.797
O4 O 0.124 0.000 0.299
O5 O 0.254 0.500 0.011
O6 O 0.255 0.000 0.514
O7 O 0.296 0.000 0.707
O8 O 0.314 0.500 0.205
O9 O 0.478 0.500 0.408
O10 O 0.487 0.000 0.906
O11 O 0.529 0.500 0.602
O12 O 0.530 0.000 0.099
O13 O 0.666 0.500 0.815
O14 O 0.667 0.000 0.313
O15 O 0.719 0.500 0.997
O16 O 0.721 0.000 0.502
O17 O 0.878 0.500 0.209
O18 O 0.891 0.000 0.710
O19 O 0.903 0.000 0.904
O20 O 0.913 0.500 0.403
```


2.
A plane-wave DFT calculation with GGA+U was carried out for a relaxed structure of Li5Fe5Co2O12.

Calculated values
V: 226.42 Å³/cell
Formation energy from the elements: -1.78 eV/atom
Crystal system: monoclinic

```
data_Li5Fe5Co2O12
_space_group_name_H-M_alt 'P 1'
_space_group_IT_number 1
_cell_length_a 5.176
_cell_length_b 5.176
_cell_length_c 9.872
_cell_angle_alpha 95.04
_cell_angle_beta 95.04
_cell_angle_gamma 119.61
loop_
_space_group_symop_operation_xyz
'x,y,z'
loop_
_atom_site_label
_atom_site_type_symbol
_atom_site_fract_x
_atom_site_fract_y
_atom_site_fract_z
Li1 Li 0.000 0.000 0.000
Li2 Li 0.248 0.256 0.758
Li3 Li 0.404 0.076 0.241
Li4 Li 0.744 0.752 0.242
Li5 Li 0.924 0.596 0.759
Fe1 Fe 0.078 0.407 0.236
Fe2 Fe 0.164 0.836 0.500
Fe3 Fe 0.501 0.499 0.500
Fe4 Fe 0.593 0.922 0.764
Fe5 Fe 0.656 0.344 0.000
Co1 Co 0.329 0.671 0.000
Co2 Co 0.832 0.168 0.500
O1 O 0.026 0.685 0.125
O2 O 0.134 0.137 0.381
O3 O 0.233 0.568 0.622
O4 O 0.315 0.974 0.875
O5 O 0.368 0.379 0.124
O6 O 0.432 0.767 0.378
O7 O 0.527 0.197 0.616
O8 O 0.621 0.632 0.876
O9 O 0.709 0.067 0.127
O10 O 0.803 0.473 0.384
O11 O 0.863 0.866 0.619
O12 O 0.933 0.291 0.873
```


3.
A plane-wave DFT calculation with GGA+U was carried out for a relaxed structure of Li8FeCo3O8.

Calculated values
V: 207.07 Å³/cell
Formation energy from the elements: -1.72 eV/atom
Crystal system: triclinic

```
data_Li8FeCo3O8
_space_group_name_H-M_alt 'P 1'
_space_group_IT_number 1
_cell_length_a 5.369
_cell_length_b 5.513
_cell_length_c 6.998
_cell_angle_alpha 89.83
_cell_angle_beta 89.43
_cell_angle_gamma 89.17
loop_
_space_group_symop_operation_xyz
'x,y,z'
loop_
_atom_site_label
_atom_site_type_symbol
_atom_site_fract_x
_atom_site_fract_y
_atom_site_fract_z
Li1 Li 0.000 0.000 0.000
Li2 Li 0.001 0.516 0.689
Li3 Li 0.337 0.329 0.851
Li4 Li 0.340 0.831 0.840
Li5 Li 0.487 0.575 0.500
Li6 Li 0.500 0.094 0.186
Li7 Li 0.826 0.759 0.343
Li8 Li 0.837 0.265 0.343
Fe1 Fe 0.735 0.103 0.699
Co1 Co 0.230 0.996 0.478
Co2 Co 0.233 0.497 0.205
Co3 Co 0.734 0.603 0.983
O1 O 0.117 0.609 0.954
O2 O 0.123 0.107 0.735
O3 O 0.131 0.645 0.455
O4 O 0.137 0.146 0.227
O5 O 0.609 0.991 0.450
O6 O 0.613 0.487 0.234
O7 O 0.638 0.459 0.731
O8 O 0.638 0.951 0.960
```


4.
A plane-wave DFT calculation with GGA+U was carried out for a relaxed structure of Li10FeCo9O20.

Calculated values
V: 348.73 Å³/cell
Formation energy from the elements: -1.73 eV/atom
Crystal system: triclinic

```
data_Li10FeCo9O20
_space_group_name_H-M_alt 'P 1'
_space_group_IT_number 1
_cell_length_a 5.006
_cell_length_b 7.612
_cell_length_c 9.811
_cell_angle_alpha 80.21
_cell_angle_beta 84.88
_cell_angle_gamma 71.30
loop_
_space_group_symop_operation_xyz
'x,y,z'
loop_
_atom_site_label
_atom_site_type_symbol
_atom_site_fract_x
_atom_site_fract_y
_atom_site_fract_z
Li1 Li 0.000 0.000 0.000
Li2 Li 0.091 0.302 0.506
Li3 Li 0.198 0.606 0.000
Li4 Li 0.296 0.900 0.503
Li5 Li 0.403 0.205 0.001
Li6 Li 0.496 0.500 0.504
Li7 Li 0.599 0.802 0.001
Li8 Li 0.702 0.103 0.507
Li9 Li 0.804 0.399 0.998
Li10 Li 0.907 0.703 0.506
Fe1 Fe 0.349 0.054 0.753
Co1 Co 0.050 0.150 0.253
Co2 Co 0.151 0.452 0.753
Co3 Co 0.254 0.751 0.252
Co4 Co 0.448 0.356 0.255
Co5 Co 0.550 0.652 0.752
Co6 Co 0.652 0.950 0.251
Co7 Co 0.751 0.251 0.753
Co8 Co 0.854 0.549 0.253
Co9 Co 0.948 0.852 0.753
O1 O 0.020 0.074 0.645
O2 O 0.073 0.232 0.860
O3 O 0.110 0.379 0.134
O4 O 0.172 0.540 0.368
O5 O 0.215 0.676 0.642
O6 O 0.265 0.835 0.863
O7 O 0.325 0.969 0.136
O8 O 0.369 0.134 0.369
O9 O 0.425 0.277 0.647
O10 O 0.477 0.424 0.862
O11 O 0.513 0.576 0.138
O12 O 0.572 0.729 0.365
O13 O 0.625 0.879 0.641
O14 O 0.679 0.028 0.860
O15 O 0.724 0.174 0.136
O16 O 0.773 0.326 0.374
O17 O 0.835 0.467 0.644
O18 O 0.884 0.629 0.863
O19 O 0.943 0.774 0.140
O20 O 0.992 0.920 0.364
```


5.
A plane-wave DFT calculation with GGA+U was carried out for a relaxed structure of Li2Fe2Co3O10.

Calculated values
V: 360.19 Å³/cell
Formation energy from the elements: -1.40 eV/atom
Crystal system: monoclinic

```
data_Li2Fe2Co3O10
_space_group_name_H-M_alt 'P 1'
_space_group_IT_number 1
_cell_length_a 5.206
_cell_length_b 2.913
_cell_length_c 23.834
_cell_angle_alpha 90.00
_cell_angle_beta 94.65
_cell_angle_gamma 90.00
loop_
_space_group_symop_operation_xyz
'x,y,z'
loop_
_atom_site_label
_atom_site_type_symbol
_atom_site_fract_x
_atom_site_fract_y
_atom_site_fract_z
Li1 Li 0.000 0.000 0.000
Li2 Li 0.001 0.500 0.498
Li3 Li 0.597 0.000 0.797
Li4 Li 0.598 0.500 0.301
Fe1 Fe 0.096 0.500 0.797
Fe2 Fe 0.311 0.000 0.900
Fe3 Fe 0.687 0.000 0.102
Fe4 Fe 0.896 0.000 0.694
Co1 Co 0.102 0.000 0.300
Co2 Co 0.295 0.500 0.397
Co3 Co 0.492 0.000 0.497
Co4 Co 0.500 0.500 0.001
Co5 Co 0.690 0.500 0.595
Co6 Co 0.905 0.500 0.202
O1 O 0.012 0.000 0.160
O2 O 0.178 0.000 0.449
O3 O 0.195 0.500 0.953
O4 O 0.204 0.500 0.256
O5 O 0.218 0.000 0.751
O6 O 0.378 0.000 0.044
O7 O 0.391 0.500 0.544
O8 O 0.410 0.000 0.346
O9 O 0.422 0.500 0.848
O10 O 0.580 0.000 0.637
O11 O 0.597 0.500 0.448
O12 O 0.608 0.500 0.155
O13 O 0.620 0.000 0.958
O14 O 0.774 0.500 0.745
O15 O 0.799 0.000 0.251
O16 O 0.805 0.000 0.547
O17 O 0.805 0.500 0.050
O18 O 0.977 0.000 0.843
O19 O 0.986 0.500 0.643
O20 O 0.996 0.500 0.345
```


6.
A plane-wave DFT calculation with GGA+U was carried out for a relaxed structure of Li3Fe2Co3O10.

Calculated values
V: 352.18 Å³/cell
Formation energy from the elements: -1.60 eV/atom
Crystal system: monoclinic

```
data_Li3Fe2Co3O10
_space_group_name_H-M_alt 'P 1'
_space_group_IT_number 1
_cell_length_a 5.258
_cell_length_b 2.877
_cell_length_c 23.339
_cell_angle_alpha 90.00
_cell_angle_beta 93.94
_cell_angle_gamma 90.00
loop_
_space_group_symop_operation_xyz
'x,y,z'
loop_
_atom_site_label
_atom_site_type_symbol
_atom_site_fract_x
_atom_site_fract_y
_atom_site_fract_z
Li1 Li 0.000 0.000 0.000
Li2 Li 0.007 0.500 0.499
Li3 Li 0.365 0.000 0.186
Li4 Li 0.373 0.500 0.682
Li5 Li 0.731 0.000 0.374
Li6 Li 0.740 0.500 0.875
Fe1 Fe 0.071 0.500 0.783
Fe2 Fe 0.474 0.500 0.985
Fe3 Fe 0.663 0.000 0.088
Fe4 Fe 0.877 0.500 0.191
Co1 Co 0.082 0.000 0.291
Co2 Co 0.260 0.000 0.885
Co3 Co 0.265 0.500 0.390
Co4 Co 0.479 0.000 0.486
Co5 Co 0.674 0.500 0.585
Co6 Co 0.868 0.000 0.682
O1 O 0.141 0.500 0.930
O2 O 0.166 0.000 0.440
O3 O 0.178 0.000 0.729
O4 O 0.200 0.500 0.247
O5 O 0.351 0.000 0.032
O6 O 0.365 0.000 0.344
O7 O 0.376 0.500 0.840
O8 O 0.380 0.500 0.532
O9 O 0.550 0.500 0.142
O10 O 0.570 0.000 0.633
O11 O 0.572 0.000 0.929
O12 O 0.581 0.500 0.438
O13 O 0.754 0.500 0.727
O14 O 0.780 0.000 0.536
O15 O 0.787 0.000 0.244
O16 O 0.794 0.500 0.035
O17 O 0.955 0.000 0.836
O18 O 0.965 0.500 0.339
O19 O 0.972 0.500 0.637
O20 O 0.997 0.000 0.144
```


7.
A plane-wave DFT calculation with GGA+U was carried out for a relaxed structure of Li10Fe9CoO20.

Calculated values
V: 374.57 Å³/cell
Formation energy from the elements: -1.92 eV/atom
Crystal system: monoclinic

```
data_Li10Fe9CoO20
_space_group_name_H-M_alt 'P 1'
_space_group_IT_number 1
_cell_length_a 5.979
_cell_length_b 2.973
_cell_length_c 21.256
_cell_angle_alpha 90.00
_cell_angle_beta 97.54
_cell_angle_gamma 90.00
loop_
_space_group_symop_operation_xyz
'x,y,z'
loop_
_atom_site_label
_atom_site_type_symbol
_atom_site_fract_x
_atom_site_fract_y
_atom_site_fract_z
Li1 Li 0.000 0.000 0.000
Li2 Li 0.000 0.500 0.500
Li3 Li 0.200 0.000 0.400
Li4 Li 0.203 0.500 0.902
Li5 Li 0.400 0.000 0.799
Li6 Li 0.400 0.500 0.300
Li7 Li 0.600 0.000 0.201
Li8 Li 0.600 0.500 0.700
Li9 Li 0.797 0.500 0.098
Li10 Li 0.800 0.000 0.600
Fe1 Fe 0.099 0.500 0.700
Fe2 Fe 0.101 0.000 0.199
Fe3 Fe 0.300 0.000 0.600
Fe4 Fe 0.305 0.500 0.098
Fe5 Fe 0.500 0.500 0.500
Fe6 Fe 0.695 0.500 0.902
Fe7 Fe 0.700 0.000 0.400
Fe8 Fe 0.899 0.000 0.801
Fe9 Fe 0.901 0.500 0.300
Co1 Co 0.500 0.000 0.000
O1 O 0.065 0.500 0.603
O2 O 0.067 0.000 0.101
O3 O 0.135 0.000 0.297
O4 O 0.135 0.500 0.798
O5 O 0.265 0.000 0.503
O6 O 0.281 0.500 0.002
O7 O 0.335 0.000 0.697
O8 O 0.336 0.500 0.196
O9 O 0.464 0.000 0.906
O10 O 0.465 0.500 0.403
O11 O 0.535 0.500 0.597
O12 O 0.536 0.000 0.094
O13 O 0.664 0.500 0.804
O14 O 0.665 0.000 0.303
O15 O 0.719 0.500 0.998
O16 O 0.735 0.000 0.497
O17 O 0.865 0.000 0.703
O18 O 0.865 0.500 0.202
O19 O 0.933 0.000 0.899
O20 O 0.935 0.500 0.397
```


8.
A plane-wave DFT calculation with GGA+U was carried out for a relaxed structure of Li2FeCo2O6.

Calculated values
V: 233.25 Å³/cell
Formation energy from the elements: -1.51 eV/atom
Crystal system: triclinic

```
data_Li2FeCo2O6
_space_group_name_H-M_alt 'P 1'
_space_group_IT_number 1
_cell_length_a 5.084
_cell_length_b 5.085
_cell_length_c 10.224
_cell_angle_alpha 89.10
_cell_angle_beta 89.12
_cell_angle_gamma 61.95
loop_
_space_group_symop_operation_xyz
'x,y,z'
loop_
_atom_site_label
_atom_site_type_symbol
_atom_site_fract_x
_atom_site_fract_y
_atom_site_fract_z
Li1 Li 0.000 0.000 0.000
Li2 Li 0.240 0.753 0.489
Li3 Li 0.499 0.495 0.989
Li4 Li 0.747 0.257 0.500
Fe1 Fe 0.344 0.093 0.245
Fe2 Fe 0.840 0.600 0.745
Co1 Co 0.007 0.767 0.245
Co2 Co 0.176 0.938 0.743
Co3 Co 0.514 0.263 0.745
Co4 Co 0.683 0.429 0.243
O1 O 0.024 0.076 0.356
O2 O 0.169 0.641 0.848
O3 O 0.174 0.241 0.647
O4 O 0.313 0.777 0.134
O5 O 0.385 0.422 0.348
O6 O 0.494 0.939 0.840
O7 O 0.525 0.569 0.634
O8 O 0.674 0.125 0.139
O9 O 0.683 0.746 0.340
O10 O 0.823 0.279 0.856
O11 O 0.873 0.930 0.639
O12 O 0.984 0.427 0.147
```


9.
A plane-wave DFT calculation with GGA+U was carried out for a relaxed structure of LiFeCo3O8.

Calculated values
V: 140.09 Å³/cell
Formation energy from the elements: -1.36 eV/atom
Crystal system: trigonal

```
data_LiFeCo3O8
_space_group_name_H-M_alt 'P 1'
_space_group_IT_number 1
_cell_length_a 5.894
_cell_length_b 5.894
_cell_length_c 5.894
_cell_angle_alpha 58.59
_cell_angle_beta 58.59
_cell_angle_gamma 58.59
loop_
_space_group_symop_operation_xyz
'x,y,z'
loop_
_atom_site_label
_atom_site_type_symbol
_atom_site_fract_x
_atom_site_fract_y
_atom_site_fract_z
Li1 Li 0.000 0.000 0.000
Fe1 Fe 0.500 0.500 0.500
Co1 Co 0.000 0.000 0.500
Co2 Co 0.000 0.500 0.000
Co3 Co 0.500 0.000 0.000
O1 O 0.214 0.744 0.744
O2 O 0.232 0.232 0.232
O3 O 0.256 0.256 0.786
O4 O 0.256 0.786 0.256
O5 O 0.744 0.214 0.744
O6 O 0.744 0.744 0.214
O7 O 0.768 0.768 0.768
O8 O 0.786 0.256 0.256
```


10.
A plane-wave DFT calculation with GGA+U was carried out for a relaxed structure of Li2FeCo2O6.

Calculated values
V: 216.96 Å³/cell
Formation energy from the elements: -1.62 eV/atom
Crystal system: triclinic

```
data_Li2FeCo2O6
_space_group_name_H-M_alt 'P 1'
_space_group_IT_number 1
_cell_length_a 4.999
_cell_length_b 5.020
_cell_length_c 10.101
_cell_angle_alpha 80.35
_cell_angle_beta 84.75
_cell_angle_gamma 60.24
loop_
_space_group_symop_operation_xyz
'x,y,z'
loop_
_atom_site_label
_atom_site_type_symbol
_atom_site_fract_x
_atom_site_fract_y
_atom_site_fract_z
Li1 Li 0.000 0.000 0.000
Li2 Li 0.005 0.176 0.492
Li3 Li 0.308 0.544 0.494
Li4 Li 0.317 0.328 0.996
Fe1 Fe 0.641 0.269 0.246
Fe2 Fe 0.649 0.769 0.745
Co1 Co 0.307 0.942 0.245
Co2 Co 0.315 0.437 0.745
Co3 Co 0.966 0.608 0.246
Co4 Co 0.980 0.104 0.745
O1 O 0.003 0.281 0.137
O2 O 0.291 0.659 0.142
O3 O 0.293 0.085 0.848
O4 O 0.296 0.229 0.351
O5 O 0.296 0.808 0.642
O6 O 0.622 0.985 0.138
O7 O 0.628 0.586 0.349
O8 O 0.651 0.382 0.849
O9 O 0.655 0.153 0.642
O10 O 0.996 0.741 0.849
O11 O 0.999 0.450 0.641
O12 O 0.999 0.908 0.354
```


11.
A plane-wave DFT calculation with GGA+U was carried out for a relaxed structure of Li3Fe2Co2O8.

Calculated values
V: 145.49 Å³/cell
Formation energy from the elements: -1.71 eV/atom
Crystal system: monoclinic

```
data_Li3Fe2Co2O8
_space_group_name_H-M_alt 'P 1'
_space_group_IT_number 1
_cell_length_a 5.892
_cell_length_b 5.892
_cell_length_c 5.872
_cell_angle_alpha 119.72
_cell_angle_beta 119.72
_cell_angle_gamma 60.65
loop_
_space_group_symop_operation_xyz
'x,y,z'
loop_
_atom_site_label
_atom_site_type_symbol
_atom_site_fract_x
_atom_site_fract_y
_atom_site_fract_z
Li1 Li 0.000 0.000 0.000
Li2 Li 0.000 0.500 0.000
Li3 Li 0.500 0.000 0.000
Fe1 Fe 0.000 0.500 0.500
Fe2 Fe 0.500 0.000 0.500
Co1 Co 0.500 0.500 0.000
Co2 Co 0.500 0.500 0.500
O1 O 0.255 0.255 0.268
O2 O 0.271 0.271 0.762
O3 O 0.277 0.715 0.757
O4 O 0.285 0.723 0.243
O5 O 0.715 0.277 0.757
O6 O 0.723 0.285 0.243
O7 O 0.729 0.729 0.238
O8 O 0.745 0.745 0.732
```


12.
A plane-wave DFT calculation with GGA+U was carried out for a relaxed structure of Li10Fe3Co7O20.

Calculated values
V: 342.58 Å³/cell
Formation energy from the elements: -1.80 eV/atom
Crystal system: monoclinic

```
data_Li10Fe3Co7O20
_space_group_name_H-M_alt 'P 1'
_space_group_IT_number 1
_cell_length_a 5.819
_cell_length_b 2.880
_cell_length_c 20.596
_cell_angle_alpha 90.00
_cell_angle_beta 96.93
_cell_angle_gamma 90.00
loop_
_space_group_symop_operation_xyz
'x,y,z'
loop_
_atom_site_label
_atom_site_type_symbol
_atom_site_fract_x
_atom_site_fract_y
_atom_site_fract_z
Li1 Li 0.000 0.000 0.000
Li2 Li 0.000 0.500 0.500
Li3 Li 0.198 0.000 0.401
Li4 Li 0.200 0.500 0.899
Li5 Li 0.402 0.000 0.799
Li6 Li 0.402 0.500 0.304
Li7 Li 0.598 0.000 0.201
Li8 Li 0.598 0.500 0.696
Li9 Li 0.800 0.500 0.101
Li10 Li 0.802 0.000 0.599
Fe1 Fe 0.098 0.000 0.203
Fe2 Fe 0.500 0.000 0.000
Fe3 Fe 0.902 0.000 0.797
Co1 Co 0.104 0.500 0.697
Co2 Co 0.299 0.500 0.101
Co3 Co 0.302 0.000 0.598
Co4 Co 0.500 0.500 0.500
Co5 Co 0.698 0.000 0.402
Co6 Co 0.701 0.500 0.899
Co7 Co 0.896 0.500 0.303
O1 O 0.073 0.000 0.103
O2 O 0.080 0.500 0.603
O3 O 0.124 0.000 0.302
O4 O 0.143 0.500 0.793
O5 O 0.260 0.500 0.005
O6 O 0.276 0.000 0.504
O7 O 0.327 0.000 0.693
O8 O 0.339 0.500 0.197
O9 O 0.474 0.000 0.901
O10 O 0.474 0.500 0.406
O11 O 0.526 0.000 0.099
O12 O 0.526 0.500 0.594
O13 O 0.661 0.500 0.803
O14 O 0.673 0.000 0.307
O15 O 0.724 0.000 0.496
O16 O 0.740 0.500 0.995
O17 O 0.857 0.500 0.207
O18 O 0.876 0.000 0.698
O19 O 0.920 0.500 0.397
O20 O 0.927 0.000 0.897
```


no.,calculated density (Mg/m³)
1,4.1
2,4.6
3,3.3
4,4.6
5,4.3
6,4.4
7,4.2
8,4.0
9,4.4
10,4.3
11,4.3
12,4.7